Below is a geometry-optimized Sc2TlTc structure, with properties calculated at the PBE level.

Computed properties:
- space group = Fm-3m (225)
- calculated total energy (eV/atom) = -6.5326

Cell lengths 4.8152, 4.8152, 4.8152 Å; angles 60.00, 60.00, 60.00 degrees
With the nearest neighbours (Å) after each atom.
Sites, in units of the cell vectors:
Sc 0.2500 0.2500 0.2500  4 Tl 2.95, 4 Tc 2.95
Sc 0.7500 0.7500 0.7500  4 Tl 2.95, 4 Tc 2.95
Tl 0.0000 0.0000 0.0000  8 Sc 2.95
Tc 0.5000 0.5000 0.5000  8 Sc 2.95


Below is a geometry-optimized ScUTc2 structure, with properties calculated at the PBE level.

Computed properties:
- space group = Fm-3m (225)
- calculated total energy (eV/atom) = -9.7508

Cell lengths 4.6683, 4.6683, 4.6683 Å; angles 60.00, 60.00, 60.00 degrees
With the nearest neighbours (Å) after each atom.
Sites, in units of the cell vectors:
Sc 0.5000 0.5000 0.5000  8 Tc 2.86
U 0.0000 0.0000 0.0000  8 Tc 2.86
Tc 0.2500 0.2500 0.2500  4 Sc 2.86, 4 U 2.86
Tc 0.7500 0.7500 0.7500  4 Sc 2.86, 4 U 2.86


Below is a geometry-optimized ScTc2W structure, with properties calculated at the PBE level.

Computed properties:
- space group = Fm-3m (225)
- calculated total energy (eV/atom) = -10.2338

Cell lengths 4.4832, 4.4832, 4.4832 Å; angles 60.00, 60.00, 60.00 degrees
With the nearest neighbours (Å) after each atom.
Sites, in units of the cell vectors:
Sc 0.5000 0.5000 0.5000  8 Tc 2.75
Tc 0.2500 0.2500 0.2500  4 Sc 2.75, 4 W 2.75
Tc 0.7500 0.7500 0.7500  4 Sc 2.75, 4 W 2.75
W 0.0000 0.0000 0.0000  8 Tc 2.75


Below is a geometry-optimized ScTe structure, with properties calculated at the PBE level.

Computed properties:
- space group = P6_3/mmc (194)
- calculated total energy (eV/atom) = -5.8947

Cell lengths 4.1173, 4.1173, 13.8435 Å; angles 90.00, 90.00, 120.00 degrees
With the nearest neighbours (Å) after each atom.
Sites, in units of the cell vectors:
Sc 0.3333 0.6667 0.8827  6 Te 2.88-3.00
Sc 0.6667 0.3333 0.1173  6 Te 2.88-3.00
Sc 0.6667 0.3333 0.3827  6 Te 2.88-3.00
Sc 0.3333 0.6667 0.6173  6 Te 2.88-3.00
Te 0.3333 0.6667 0.2500  6 Sc 3.00
Te 0.6667 0.3333 0.7500  6 Sc 3.00
Te 0.0000 0.0000 0.5000  6 Sc 2.88
Te 0.0000 0.0000 0.0000  6 Sc 2.88


Below is a geometry-optimized Sc2Te structure, with properties calculated at the PBE level.

Computed properties:
- space group = Pnma (62)
- calculated total energy (eV/atom) = -6.0908

Cell lengths 3.9421, 10.7438, 20.2776 Å; angles 90.00, 90.00, 90.00 degrees
With the nearest neighbours (Å) after each atom.
Sites, in units of the cell vectors:
Sc 0.2500 0.8934 0.4901  2 Te 2.98-3.16, 6 Sc 3.05-3.27
Sc 0.7500 0.1066 0.5099  2 Te 2.98-3.16, 6 Sc 3.05-3.27
Sc 0.7500 0.3934 0.0099  2 Te 2.98-3.16, 6 Sc 3.05-3.27
Sc 0.2500 0.6066 0.9901  2 Te 2.98-3.16, 6 Sc 3.05-3.27
Sc 0.2500 0.0693 0.6369  4 Te 2.99-3.01, 4 Sc 3.19-3.27
Sc 0.7500 0.9307 0.3631  4 Te 2.99-3.01, 4 Sc 3.19-3.27
Sc 0.7500 0.5693 0.8631  4 Te 2.99-3.01, 4 Sc 3.19-3.27
Sc 0.2500 0.4307 0.1369  4 Te 2.99-3.01, 4 Sc 3.19-3.27
Sc 0.2500 0.3804 0.5325  5 Te 2.94-2.98
Sc 0.7500 0.6196 0.4675  5 Te 2.94-2.98
Sc 0.7500 0.8804 0.9675  5 Te 2.94-2.98
Sc 0.2500 0.1196 0.0325  5 Te 2.94-2.98
Sc 0.7500 0.6576 0.1069  3 Te 2.94-2.96, 6 Sc 3.13-3.29
Sc 0.2500 0.3424 0.8931  3 Te 2.94-2.96, 6 Sc 3.13-3.29
Sc 0.2500 0.1576 0.3931  3 Te 2.94-2.96, 6 Sc 3.13-3.29
Sc 0.7500 0.8424 0.6069  3 Te 2.94-2.96, 6 Sc 3.13-3.29
Sc 0.7500 0.9652 0.1632  5 Te 2.87-2.93
Sc 0.2500 0.0348 0.8368  5 Te 2.87-2.93
Sc 0.2500 0.4652 0.3368  5 Te 2.87-2.93
Sc 0.7500 0.5348 0.6632  5 Te 2.87-2.93
Sc 0.2500 0.7466 0.2279  5 Te 2.97-3.32, 2 Sc 3.29
Sc 0.7500 0.2534 0.7721  5 Te 2.97-3.32, 2 Sc 3.29
Sc 0.7500 0.2466 0.2721  5 Te 2.97-3.32, 2 Sc 3.29
Sc 0.2500 0.7534 0.7279  5 Te 2.97-3.32, 2 Sc 3.29
Te 0.7500 0.9685 0.7356  8 Sc 2.93-3.15
Te 0.2500 0.0315 0.2644  8 Sc 2.93-3.15
Te 0.2500 0.4685 0.7644  8 Sc 2.93-3.15
Te 0.7500 0.5315 0.2356  8 Sc 2.93-3.15
Te 0.7500 0.2770 0.6261  7 Sc 2.87-2.99
Te 0.2500 0.7230 0.3739  7 Sc 2.87-2.99
Te 0.2500 0.7770 0.8739  7 Sc 2.87-2.99
Te 0.7500 0.2230 0.1261  7 Sc 2.87-2.99
Te 0.2500 0.6459 0.5743  8 Sc 2.93-3.16
Te 0.7500 0.3541 0.4257  8 Sc 2.93-3.16
Te 0.7500 0.1459 0.9257  8 Sc 2.93-3.16
Te 0.2500 0.8541 0.0743  8 Sc 2.93-3.16


Below is a geometry-optimized Sc9Te2 structure, with properties calculated at the PBE level.

Computed properties:
- space group = Cmc2_1 (36)
- magnetization (μB per cell) = 0.18
- calculated total energy (eV/atom) = -6.2041

Cell lengths 8.7242, 8.7242, 17.3593 Å; angles 90.00, 90.00, 127.21 degrees
With the nearest neighbours (Å) after each atom.
Sites, in units of the cell vectors:
Sc 0.3496 0.2016 0.8691  2 Te 3.01-3.22, 6 Sc 3.11-3.32
Sc 0.7984 0.6504 0.8691  2 Te 3.01-3.22, 6 Sc 3.11-3.32
Sc 0.6504 0.7984 0.3691  2 Te 3.01-3.22, 6 Sc 3.11-3.32
Sc 0.2016 0.3496 0.3691  2 Te 3.01-3.22, 6 Sc 3.11-3.32
Sc 0.6002 0.9517 0.6411  2 Te 3.00-3.23, 7 Sc 3.11-3.36
Sc 0.0483 0.3998 0.6411  2 Te 3.00-3.23, 7 Sc 3.11-3.36
Sc 0.3998 0.0483 0.1411  2 Te 3.00-3.23, 7 Sc 3.11-3.36
Sc 0.9517 0.6002 0.1411  2 Te 3.00-3.23, 7 Sc 3.11-3.36
Sc 0.7350 0.2650 0.7949  4 Te 2.99-3.01, 4 Sc 3.21-3.32
Sc 0.2650 0.7350 0.2949  4 Te 2.99-3.01, 4 Sc 3.21-3.32
Sc 0.5758 0.4242 0.4312  2 Te 2.98, 5 Sc 2.99-3.28
Sc 0.4242 0.5758 0.9312  2 Te 2.98, 5 Sc 2.99-3.28
Sc 0.6144 0.3856 0.0214  8 Sc 3.00-3.23
Sc 0.3856 0.6144 0.5214  8 Sc 3.00-3.23
Sc 0.2326 0.2101 0.5607  9 Sc 3.00-3.36, 1 Te 3.11
Sc 0.7899 0.7674 0.5607  9 Sc 3.00-3.36, 1 Te 3.11
Sc 0.7674 0.7899 0.0607  9 Sc 3.00-3.36, 1 Te 3.11
Sc 0.2101 0.2326 0.0607  9 Sc 3.00-3.36, 1 Te 3.11
Sc 0.9846 0.0154 0.7150  4 Te 3.00, 4 Sc 3.21-3.31
Sc 0.0154 0.9846 0.2150  4 Te 3.00, 4 Sc 3.21-3.31
Sc 0.9310 0.0690 0.9250  2 Te 2.96, 7 Sc 3.05-3.27
Sc 0.0690 0.9310 0.4250  2 Te 2.96, 7 Sc 3.05-3.27
Sc 0.4755 0.5245 0.7019  4 Te 3.02-3.09, 4 Sc 3.32-3.36
Sc 0.5245 0.4755 0.2019  4 Te 3.02-3.09, 4 Sc 3.32-3.36
Sc 0.1358 0.8642 0.9873  8 Sc 3.00-3.25
Sc 0.8642 0.1358 0.4873  8 Sc 3.00-3.25
Sc 0.4600 0.9835 0.4491  9 Sc 3.00-3.35, 1 Te 3.11
Sc 0.0165 0.5400 0.4491  9 Sc 3.00-3.35, 1 Te 3.11
Sc 0.5400 0.0165 0.9491  9 Sc 3.00-3.35, 1 Te 3.11
Sc 0.9835 0.4600 0.9491  9 Sc 3.00-3.35, 1 Te 3.11
Sc 0.2258 0.7742 0.8064  4 Te 3.04-3.09, 4 Sc 3.33-3.37
Sc 0.7742 0.2258 0.3064  4 Te 3.04-3.09, 4 Sc 3.33-3.37
Sc 0.6745 0.3255 0.5788  2 Te 2.98, 5 Sc 2.99-3.28
Sc 0.3255 0.6745 0.0788  2 Te 2.98, 5 Sc 2.99-3.28
Sc 0.1807 0.8193 0.5845  2 Te 2.95, 7 Sc 3.05-3.27
Sc 0.8193 0.1807 0.0845  2 Te 2.95, 7 Sc 3.05-3.27
Te 0.3813 0.1217 0.7036  9 Sc 2.95-3.23
Te 0.8783 0.6187 0.7036  9 Sc 2.95-3.23
Te 0.6187 0.8783 0.2036  9 Sc 2.95-3.23
Te 0.1217 0.3813 0.2036  9 Sc 2.95-3.23
Te 0.6277 0.8666 0.8059  9 Sc 2.96-3.22
Te 0.1334 0.3723 0.8059  9 Sc 2.96-3.22
Te 0.3723 0.1334 0.3059  9 Sc 2.96-3.22
Te 0.8666 0.6277 0.3059  9 Sc 2.96-3.22


Look up the calculated total energy of the sixth one.
-6.2041 eV/atom